Entry 1:
# r2SCAN GdAg, relaxed
data_GdAg
_chemical_formula_sum 'Gd1 Ag1'
_symmetry_space_group_name_H-M 'P 1'
_symmetry_Int_Tables_number 1
_cell_length_a 3.6540
_cell_length_b 3.6540
_cell_length_c 3.6540
_cell_angle_alpha 90.00
_cell_angle_beta 90.00
_cell_angle_gamma 90.00
loop_
_symmetry_equiv_pos_as_xyz
'x,y,z'
loop_
_atom_site_label
_atom_site_type_symbol
_atom_site_fract_x
_atom_site_fract_y
_atom_site_fract_z
_atom_site_occupancy
Gd1 Gd 0.0000 0.0000 0.0000 1
Ag1 Ag 0.5000 0.5000 0.5000 1
# Formation energy   -0.2479 eV/atom
# Total energy   -32.624 eV/atom
# Mass density   9.02 Mg/m³



Entry 2:
# r2SCAN GdAg2, relaxed
data_GdAg2
_chemical_formula_sum 'Gd1 Ag2'
_symmetry_space_group_name_H-M 'P 1'
_symmetry_Int_Tables_number 1
_cell_length_a 3.7379
_cell_length_b 3.7417
_cell_length_c 5.3663
_cell_angle_alpha 110.40
_cell_angle_beta 110.38
_cell_angle_gamma 90.00
loop_
_symmetry_equiv_pos_as_xyz
'x,y,z'
loop_
_atom_site_label
_atom_site_type_symbol
_atom_site_fract_x
_atom_site_fract_y
_atom_site_fract_z
_atom_site_occupancy
Gd1 Gd 0.0000 0.0000 0.0000 1
Ag1 Ag 0.3272 0.3273 0.6544 1
Ag2 Ag 0.6728 0.6727 0.3456 1
# Formation energy   -0.2503 eV/atom
# Total energy   -28.953 eV/atom
# Mass density   9.48 Mg/m³



Entry 3:
# r2SCAN Gd2AgIr, relaxed
data_Gd2AgIr
_chemical_formula_sum 'Gd2 Ag1 Ir1'
_symmetry_space_group_name_H-M 'P 1'
_symmetry_Int_Tables_number 1
_cell_length_a 4.9985
_cell_length_b 4.9985
_cell_length_c 4.9985
_cell_angle_alpha 60.00
_cell_angle_beta 60.00
_cell_angle_gamma 60.00
loop_
_symmetry_equiv_pos_as_xyz
'x,y,z'
loop_
_atom_site_label
_atom_site_type_symbol
_atom_site_fract_x
_atom_site_fract_y
_atom_site_fract_z
_atom_site_occupancy
Gd1 Gd 0.2500 0.2500 0.2500 1
Gd2 Gd 0.7500 0.7500 0.7500 1
Ag1 Ag 0.5000 0.5000 0.5000 1
Ir1 Ir 0.0000 0.0000 0.0000 1
# Formation energy   -0.5670 eV/atom
# Total energy   -40.694 eV/atom
# Mass density   11.56 Mg/m³



Entry 4:
# r2SCAN GdMgAg2, relaxed
data_GdMgAg2
_chemical_formula_sum 'Gd1 Mg1 Ag2'
_symmetry_space_group_name_H-M 'P 1'
_symmetry_Int_Tables_number 1
_cell_length_a 4.9625
_cell_length_b 4.9625
_cell_length_c 4.9625
_cell_angle_alpha 60.00
_cell_angle_beta 60.00
_cell_angle_gamma 60.00
loop_
_symmetry_equiv_pos_as_xyz
'x,y,z'
loop_
_atom_site_label
_atom_site_type_symbol
_atom_site_fract_x
_atom_site_fract_y
_atom_site_fract_z
_atom_site_occupancy
Gd1 Gd 0.5000 0.5000 0.5000 1
Mg1 Mg 0.0000 0.0000 0.0000 1
Ag1 Ag 0.7500 0.7500 0.7500 1
Ag2 Ag 0.2500 0.2500 0.2500 1
# Formation energy   -0.2563 eV/atom
# Total energy   -22.826 eV/atom
# Mass density   7.63 Mg/m³



Entry 5:
# r2SCAN Gd2AgRh, relaxed
data_Gd2AgRh
_chemical_formula_sum 'Gd2 Ag1 Rh1'
_symmetry_space_group_name_H-M 'P 1'
_symmetry_Int_Tables_number 1
_cell_length_a 5.0124
_cell_length_b 5.0124
_cell_length_c 5.0124
_cell_angle_alpha 60.00
_cell_angle_beta 60.00
_cell_angle_gamma 60.00
loop_
_symmetry_equiv_pos_as_xyz
'x,y,z'
loop_
_atom_site_label
_atom_site_type_symbol
_atom_site_fract_x
_atom_site_fract_y
_atom_site_fract_z
_atom_site_occupancy
Gd1 Gd 0.0000 0.0000 0.0000 1
Gd2 Gd 0.5000 0.5000 0.5000 1
Ag1 Ag 0.2500 0.2500 0.2500 1
Rh1 Rh 0.7500 0.7500 0.7500 1
# Formation energy   -0.5060 eV/atom
# Total energy   -33.578 eV/atom
# Mass density   9.80 Mg/m³



Entry 6:
# r2SCAN GdAgSe2, relaxed
data_GdAgSe2
_chemical_formula_sum 'Gd1 Ag1 Se2'
_symmetry_space_group_name_H-M 'P 1'
_symmetry_Int_Tables_number 1
_cell_length_a 4.1033
_cell_length_b 4.1033
_cell_length_c 6.7057
_cell_angle_alpha 90.00
_cell_angle_beta 90.00
_cell_angle_gamma 120.00
loop_
_symmetry_equiv_pos_as_xyz
'x,y,z'
loop_
_atom_site_label
_atom_site_type_symbol
_atom_site_fract_x
_atom_site_fract_y
_atom_site_fract_z
_atom_site_occupancy
Gd1 Gd 0.0000 0.0000 0.0000 1
Ag1 Ag 0.0000 0.0000 0.5000 1
Se1 Se 0.3333 0.6667 0.2491 1
Se2 Se 0.6667 0.3333 0.7509 1
# Formation energy   -1.3714 eV/atom
# Total energy   -24.715 eV/atom
# Mass density   7.18 Mg/m³



Entry 7:
# r2SCAN GdAgSe2, relaxed
data_GdAgSe2
_chemical_formula_sum 'Gd2 Ag2 Se4'
_symmetry_space_group_name_H-M 'P 1'
_symmetry_Int_Tables_number 1
_cell_length_a 7.3633
_cell_length_b 7.3633
_cell_length_c 7.3633
_cell_angle_alpha 134.32
_cell_angle_beta 134.32
_cell_angle_gamma 66.59
loop_
_symmetry_equiv_pos_as_xyz
'x,y,z'
loop_
_atom_site_label
_atom_site_type_symbol
_atom_site_fract_x
_atom_site_fract_y
_atom_site_fract_z
_atom_site_occupancy
Gd1 Gd 0.7467 0.7467 0.0000 1
Gd2 Gd 0.4967 0.9967 0.5000 1
Ag1 Ag 0.2169 0.2169 0.0000 1
Ag2 Ag 0.9669 0.4669 0.5000 1
Se1 Se 0.5129 0.5129 0.0000 1
Se2 Se 0.2629 0.7629 0.5000 1
Se3 Se 0.9835 0.9835 0.0000 1
Se4 Se 0.7335 0.2335 0.5000 1
# Formation energy   -1.3686 eV/atom
# Total energy   -24.713 eV/atom
# Mass density   6.99 Mg/m³



Entry 8:
# r2SCAN GdSi2Ag2, relaxed
data_GdSi2Ag2
_chemical_formula_sum 'Gd1 Si2 Ag2'
_symmetry_space_group_name_H-M 'P 1'
_symmetry_Int_Tables_number 1
_cell_length_a 6.1035
_cell_length_b 6.1035
_cell_length_c 6.1035
_cell_angle_alpha 140.07
_cell_angle_beta 140.07
_cell_angle_gamma 57.75
loop_
_symmetry_equiv_pos_as_xyz
'x,y,z'
loop_
_atom_site_label
_atom_site_type_symbol
_atom_site_fract_x
_atom_site_fract_y
_atom_site_fract_z
_atom_site_occupancy
Gd1 Gd 0.0000 0.0000 0.0000 1
Si1 Si 0.6071 0.6071 0.0000 1
Si2 Si 0.3929 0.3929 0.0000 1
Ag1 Ag 0.7500 0.2500 0.5000 1
Ag2 Ag 0.2500 0.7500 0.5000 1
# Formation energy   -0.4166 eV/atom
# Total energy   -21.148 eV/atom
# Mass density   7.68 Mg/m³



Entry 9:
# r2SCAN GdSiAg, relaxed
data_GdSiAg
_chemical_formula_sum 'Gd3 Si3 Ag3'
_symmetry_space_group_name_H-M 'P 1'
_symmetry_Int_Tables_number 1
_cell_length_a 7.0817
_cell_length_b 7.0738
_cell_length_c 4.2352
_cell_angle_alpha 90.00
_cell_angle_beta 90.00
_cell_angle_gamma 119.96
loop_
_symmetry_equiv_pos_as_xyz
'x,y,z'
loop_
_atom_site_label
_atom_site_type_symbol
_atom_site_fract_x
_atom_site_fract_y
_atom_site_fract_z
_atom_site_occupancy
Gd1 Gd 0.0000 0.4174 0.5000 1
Gd2 Gd 0.5823 0.5823 0.5000 1
Gd3 Gd 0.4177 0.0000 0.5000 1
Si1 Si 0.3331 0.6666 0.0000 1
Si2 Si 0.6669 0.3335 0.0000 1
Si3 Si 0.0000 0.0001 0.5000 1
Ag1 Ag 0.0000 0.7512 0.0000 1
Ag2 Ag 0.2488 0.2489 0.0000 1
Ag3 Ag 0.7512 0.0001 0.0000 1
# Formation energy   -0.5885 eV/atom
# Total energy   -25.097 eV/atom
# Mass density   7.95 Mg/m³



Entry 10:
# r2SCAN SmGdAg2, relaxed
data_SmGdAg2
_chemical_formula_sum 'Sm1 Gd1 Ag2'
_symmetry_space_group_name_H-M 'P 1'
_symmetry_Int_Tables_number 1
_cell_length_a 5.1947
_cell_length_b 5.1947
_cell_length_c 5.1947
_cell_angle_alpha 60.00
_cell_angle_beta 60.00
_cell_angle_gamma 60.00
loop_
_symmetry_equiv_pos_as_xyz
'x,y,z'
loop_
_atom_site_label
_atom_site_type_symbol
_atom_site_fract_x
_atom_site_fract_y
_atom_site_fract_z
_atom_site_occupancy
Sm1 Sm 0.0000 0.0000 0.0000 1
Gd1 Gd 0.5000 0.5000 0.5000 1
Ag1 Ag 0.7500 0.7500 0.7500 1
Ag2 Ag 0.2500 0.2500 0.2500 1
# Formation energy   -0.2741 eV/atom
# Total energy   -29.234 eV/atom
# Mass density   8.77 Mg/m³



Entry 11:
# r2SCAN GdAgSn2, relaxed
data_GdAgSn2
_chemical_formula_sum 'Gd1 Ag1 Sn2'
_symmetry_space_group_name_H-M 'P 1'
_symmetry_Int_Tables_number 1
_cell_length_a 4.6442
_cell_length_b 4.6442
_cell_length_c 4.4082
_cell_angle_alpha 90.00
_cell_angle_beta 90.00
_cell_angle_gamma 90.00
loop_
_symmetry_equiv_pos_as_xyz
'x,y,z'
loop_
_atom_site_label
_atom_site_type_symbol
_atom_site_fract_x
_atom_site_fract_y
_atom_site_fract_z
_atom_site_occupancy
Gd1 Gd 0.0000 0.0000 0.0000 1
Ag1 Ag 0.5000 0.5000 0.0000 1
Sn1 Sn 0.0000 0.5000 0.5000 1
Sn2 Sn 0.5000 0.0000 0.5000 1
# Formation energy   -0.4289 eV/atom
# Total energy   -28.990 eV/atom
# Mass density   8.78 Mg/m³